Density functional theory data (PBE) for a relaxed structure of KAgC2N2.

Cell lengths 7.574, 7.574, 17.690 Å; angles 90.00, 90.00, 120.00 degrees
Fractional coordinates of all 36 atoms:
1 K 0.333 0.667 0.997
2 K 0.667 0.333 0.003
3 K 0.667 0.333 0.497
4 K 0.333 0.667 0.503
5 K 0.000 0.000 0.000
6 K 0.000 0.000 0.500
7 Ag 0.167 0.833 0.250
8 Ag 0.334 0.167 0.750
9 Ag 0.833 0.167 0.750
10 Ag 0.833 0.666 0.750
11 Ag 0.666 0.833 0.250
12 Ag 0.167 0.334 0.250
13 C 0.946 0.668 0.856
14 C 0.946 0.279 0.644
15 C 0.668 0.721 0.144
16 C 0.054 0.332 0.144
17 C 0.721 0.668 0.644
18 C 0.721 0.054 0.856
19 C 0.332 0.279 0.856
20 C 0.668 0.946 0.356
21 C 0.279 0.946 0.144
22 C 0.332 0.054 0.644
23 C 0.279 0.332 0.356
24 C 0.054 0.721 0.356
25 N 0.670 0.006 0.417
26 N 0.006 0.670 0.917
27 N 0.337 0.006 0.083
28 N 0.670 0.663 0.083
29 N 0.994 0.330 0.083
30 N 0.994 0.663 0.417
31 N 0.337 0.330 0.417
32 N 0.330 0.994 0.583
33 N 0.663 0.994 0.917
34 N 0.006 0.337 0.583
35 N 0.663 0.670 0.583
36 N 0.330 0.337 0.917

E (MP2020) = -6.643 eV/atom
Energy of formation = -0.131 eV per atom
Mass density = 2.3 g/cm³
Magnetization = 0.01 μB/f.u.

Density functional theory data (PBE) for a relaxed structure of Cd3In2Te6.

Cell lengths 6.428, 9.185, 8.011 Å; angles 72.26, 66.35, 90.00 degrees
Fractional coordinates of all 11 atoms:
1 Cd 0.991 0.989 0.014
2 Cd 0.366 0.167 0.333
3 Cd 0.671 0.344 0.653
4 In 0.985 0.505 0.002
5 In 0.654 0.828 0.665
6 Te 0.260 0.738 0.024
7 Te 0.559 0.889 0.339
8 Te 0.918 0.082 0.665
9 Te 0.250 0.252 0.001
10 Te 0.564 0.444 0.328
11 Te 0.950 0.595 0.643

E (MP2020) = -3.092 eV/atom
Energy of formation = -0.625 eV per atom
Mass density = 5.4 g/cm³
Magnetization = 0.00 μB/f.u.

Density functional theory data (PBE) for a relaxed structure of AsSeBr.

Cell lengths 4.828, 4.828, 4.828 Å; angles 60.00, 60.00, 60.00 degrees
Fractional coordinates of all 3 atoms:
1 As 0.000 0.000 0.000
2 Se 0.250 0.250 0.250
3 Br 0.500 0.500 0.500

E (MP2020) = -2.884 eV/atom
Energy of formation = 0.380 eV per atom
Mass density = 4.9 g/cm³
Magnetization = 0.00 μB/f.u.

Density functional theory data (PBE) for a relaxed structure of Cs2RuO4.

Cell lengths 6.618, 8.664, 11.761 Å; angles 90.00, 90.00, 90.00 degrees
Fractional coordinates of all 28 atoms:
1 Cs 0.250 0.669 0.581
2 Cs 0.750 0.331 0.419
3 Cs 0.250 0.169 0.919
4 Cs 0.750 0.831 0.081
5 Cs 0.750 0.007 0.704
6 Cs 0.250 0.993 0.296
7 Cs 0.750 0.507 0.796
8 Cs 0.250 0.493 0.204
9 Ru 0.750 0.276 0.079
10 Ru 0.250 0.724 0.921
11 Ru 0.750 0.776 0.421
12 Ru 0.250 0.224 0.579
13 O 0.973 0.702 0.352
14 O 0.473 0.298 0.648
15 O 0.527 0.202 0.148
16 O 0.027 0.798 0.852
17 O 0.027 0.298 0.648
18 O 0.527 0.702 0.352
19 O 0.473 0.798 0.852
20 O 0.973 0.202 0.148
21 O 0.250 0.017 0.580
22 O 0.750 0.983 0.420
23 O 0.250 0.517 0.920
24 O 0.750 0.483 0.080
25 O 0.750 0.203 0.935
26 O 0.250 0.797 0.065
27 O 0.750 0.703 0.565
28 O 0.250 0.297 0.435

E (MP2020) = -6.139 eV/atom
Energy of formation = -1.730 eV per atom
Mass density = 4.2 g/cm³

Density functional theory data (PBE) for a relaxed structure of AlO2.

Cell lengths 3.005, 4.157, 10.613 Å; angles 90.00, 90.00, 90.00 degrees
Fractional coordinates of all 12 atoms:
1 Al 0.250 0.640 0.662
2 Al 0.250 0.860 0.162
3 Al 0.750 0.360 0.338
4 Al 0.750 0.140 0.838
5 O 0.750 0.843 0.961
6 O 0.750 0.657 0.461
7 O 0.250 0.157 0.039
8 O 0.250 0.343 0.539
9 O 0.750 0.650 0.203
10 O 0.750 0.850 0.703
11 O 0.250 0.350 0.797
12 O 0.250 0.150 0.297

E (MP2020) = -6.967 eV/atom
Energy of formation = -2.420 eV per atom
Mass density = 3.0 g/cm³
Magnetization = 1.00 μB/f.u.

Density functional theory data (PBE) for a relaxed structure of Pr2MgIn.

Cell lengths 5.523, 5.523, 5.523 Å; angles 60.00, 60.00, 60.00 degrees
Fractional coordinates of all 4 atoms:
1 Pr 0.250 0.250 0.250
2 Pr 0.750 0.750 0.750
3 Mg 0.000 0.000 0.000
4 In 0.500 0.500 0.500

Energy of formation = -0.326 eV per atom
Mass density = 5.9 g/cm³

Density functional theory data (PBE) for a relaxed structure of KMgPO5.

Cell lengths 4.938, 5.460, 8.320 Å; angles 90.00, 90.00, 90.00 degrees
Fractional coordinates of all 16 atoms:
1 K 0.512 0.000 0.537
2 K 0.012 0.500 0.463
3 Mg 0.659 0.000 0.997
4 Mg 0.159 0.500 0.003
5 P 0.588 0.500 0.790
6 P 0.088 0.000 0.210
7 O 0.900 0.500 0.813
8 O 0.400 0.000 0.187
9 O 0.521 0.500 0.610
10 O 0.021 0.000 0.390
11 O 0.458 0.725 0.879
12 O 0.458 0.275 0.879
13 O 0.958 0.775 0.121
14 O 0.958 0.225 0.121
15 O 0.938 0.000 0.795
16 O 0.438 0.500 0.205

E (MP2020) = -6.419 eV/atom
Energy of formation = -2.311 eV per atom
Mass density = 2.6 g/cm³
Magnetization = 2.00 μB/f.u.

Density functional theory data (PBE) for a relaxed structure of Zn61Pd8.

Cell lengths 7.799, 7.799, 36.059 Å; angles 90.00, 90.00, 108.46 degrees
Fractional coordinates of all 138 atoms:
1 Zn 0.324 0.094 0.344
2 Zn 0.676 0.906 0.656
3 Zn 0.176 0.406 0.844
4 Zn 0.594 0.824 0.156
5 Zn 0.824 0.594 0.156
6 Zn 0.406 0.176 0.844
7 Zn 0.906 0.676 0.656
8 Zn 0.094 0.324 0.344
9 Zn 0.420 0.779 0.088
10 Zn 0.580 0.221 0.912
11 Zn 0.080 0.721 0.588
12 Zn 0.279 0.920 0.412
13 Zn 0.920 0.279 0.412
14 Zn 0.721 0.080 0.588
15 Zn 0.221 0.580 0.912
16 Zn 0.779 0.420 0.088
17 Zn 0.046 0.046 0.464
18 Zn 0.954 0.954 0.536
19 Zn 0.454 0.454 0.964
20 Zn 0.546 0.546 0.036
21 Zn 0.274 0.915 0.034
22 Zn 0.726 0.085 0.966
23 Zn 0.226 0.585 0.534
24 Zn 0.415 0.774 0.466
25 Zn 0.774 0.415 0.466
26 Zn 0.585 0.226 0.534
27 Zn 0.085 0.726 0.966
28 Zn 0.915 0.274 0.034
29 Zn 0.406 0.154 0.220
30 Zn 0.594 0.846 0.780
31 Zn 0.094 0.346 0.720
32 Zn 0.654 0.906 0.280
33 Zn 0.906 0.654 0.280
34 Zn 0.346 0.094 0.720
35 Zn 0.846 0.594 0.780
36 Zn 0.154 0.406 0.220
37 Zn 0.574 0.211 0.026
38 Zn 0.426 0.789 0.974
39 Zn 0.926 0.289 0.526
40 Zn 0.711 0.074 0.474
41 Zn 0.074 0.711 0.474
42 Zn 0.289 0.926 0.526
43 Zn 0.789 0.426 0.974
44 Zn 0.211 0.574 0.026
45 Zn 0.035 0.035 0.080
46 Zn 0.965 0.965 0.920
47 Zn 0.465 0.465 0.580
48 Zn 0.535 0.535 0.420
49 Zn 0.723 0.082 0.101
50 Zn 0.277 0.918 0.899
51 Zn 0.777 0.418 0.601
52 Zn 0.582 0.223 0.399
53 Zn 0.223 0.582 0.399
54 Zn 0.418 0.777 0.601
55 Zn 0.918 0.277 0.899
56 Zn 0.082 0.723 0.101
57 Zn 0.669 0.908 0.033
58 Zn 0.331 0.092 0.967
59 Zn 0.831 0.592 0.533
60 Zn 0.408 0.169 0.467
61 Zn 0.169 0.408 0.467
62 Zn 0.592 0.831 0.533
63 Zn 0.092 0.331 0.967
64 Zn 0.908 0.669 0.033
65 Zn 0.391 0.133 0.093
66 Zn 0.609 0.867 0.907
67 Zn 0.109 0.367 0.593
68 Zn 0.633 0.891 0.407
69 Zn 0.891 0.633 0.407
70 Zn 0.367 0.109 0.593
71 Zn 0.867 0.609 0.907
72 Zn 0.133 0.391 0.093
73 Zn 0.297 0.930 0.158
74 Zn 0.703 0.070 0.842
75 Zn 0.203 0.570 0.658
76 Zn 0.430 0.797 0.342
77 Zn 0.797 0.430 0.342
78 Zn 0.570 0.203 0.658
79 Zn 0.070 0.703 0.842
80 Zn 0.930 0.297 0.158
81 Zn 0.580 0.220 0.288
82 Zn 0.420 0.780 0.712
83 Zn 0.920 0.280 0.788
84 Zn 0.720 0.080 0.212
85 Zn 0.080 0.720 0.212
86 Zn 0.280 0.920 0.788
87 Zn 0.780 0.420 0.712
88 Zn 0.220 0.580 0.288
89 Zn 0.481 0.481 0.114
90 Zn 0.519 0.519 0.886
91 Zn 0.019 0.019 0.614
92 Zn 0.981 0.981 0.386
93 Zn 0.457 0.457 0.345
94 Zn 0.543 0.543 0.655
95 Zn 0.043 0.043 0.845
96 Zn 0.957 0.957 0.155
97 Zn 0.278 0.919 0.277
98 Zn 0.722 0.081 0.723
99 Zn 0.222 0.581 0.777
100 Zn 0.419 0.778 0.223
101 Zn 0.778 0.419 0.223
102 Zn 0.581 0.222 0.777
103 Zn 0.081 0.722 0.723
104 Zn 0.919 0.278 0.277
105 Zn 0.589 0.231 0.155
106 Zn 0.411 0.769 0.845
107 Zn 0.911 0.269 0.655
108 Zn 0.731 0.089 0.345
109 Zn 0.089 0.731 0.345
110 Zn 0.269 0.911 0.655
111 Zn 0.769 0.411 0.845
112 Zn 0.231 0.589 0.155
113 Zn 0.000 0.000 0.000
114 Zn 0.500 0.500 0.500
115 Zn 0.046 0.046 0.227
116 Zn 0.954 0.954 0.773
117 Zn 0.454 0.454 0.727
118 Zn 0.546 0.546 0.273
119 Zn 0.493 0.493 0.193
120 Zn 0.507 0.507 0.807
121 Zn 0.007 0.007 0.693
122 Zn 0.993 0.993 0.307
123 Pd 0.246 0.246 0.156
124 Pd 0.754 0.754 0.844
125 Pd 0.254 0.254 0.656
126 Pd 0.746 0.746 0.344
127 Pd 0.258 0.258 0.281
128 Pd 0.742 0.742 0.719
129 Pd 0.242 0.242 0.781
130 Pd 0.758 0.758 0.219
131 Pd 0.257 0.257 0.032
132 Pd 0.743 0.743 0.968
133 Pd 0.243 0.243 0.532
134 Pd 0.757 0.757 0.468
135 Pd 0.254 0.254 0.406
136 Pd 0.746 0.746 0.594
137 Pd 0.246 0.246 0.906
138 Pd 0.754 0.754 0.094

Energy of formation = -0.182 eV per atom
Mass density = 7.7 g/cm³
Magnetization = 0.00 μB/f.u.

Density functional theory data (PBE) for a relaxed structure of Sr2SmGaCu2O7.

Cell lengths 12.244, 12.244, 12.244 Å; angles 154.27, 153.70, 37.13 degrees
Fractional coordinates of all 26 atoms:
1 Sr 0.170 0.651 0.516
2 Sr 0.830 0.346 0.481
3 Sr 0.634 0.151 0.481
4 Sr 0.366 0.846 0.516
5 Sm 0.000 0.501 0.501
6 Sm 0.500 0.001 0.501
7 Ga 0.182 0.216 0.898
8 Ga 0.818 0.716 0.034
9 Cu 0.073 0.075 0.000
10 Cu 0.927 0.927 0.002
11 Cu 0.575 0.575 0.002
12 Cu 0.425 0.427 0.000
13 O 0.871 0.367 0.739
14 O 0.129 0.867 0.496
15 O 0.816 0.318 0.001
16 O 0.184 0.184 0.502
17 O 0.817 0.818 0.502
18 O 0.183 0.684 0.001
19 O 0.312 0.814 0.999
20 O 0.688 0.687 0.502
21 O 0.315 0.314 0.502
22 O 0.685 0.187 0.999
23 O 0.628 0.708 0.982
24 O 0.372 0.354 0.081
25 O 0.227 0.208 0.081
26 O 0.773 0.854 0.982

E (MP2020) = -6.630 eV/atom
Energy of formation = -2.479 eV per atom
Mass density = 6.0 g/cm³
Magnetization = 0.00 μB/f.u.

Density functional theory data (PBE) for a relaxed structure of Tl2PtI6.

Cell lengths 7.808, 7.808, 11.608 Å; angles 90.00, 90.00, 90.00 degrees
Fractional coordinates of all 18 atoms:
1 Tl 0.000 0.500 0.250
2 Tl 0.000 0.500 0.750
3 Tl 0.500 0.000 0.250
4 Tl 0.500 0.000 0.750
5 Pt 0.000 0.000 0.000
6 Pt 0.500 0.500 0.500
7 I 0.204 0.279 0.000
8 I 0.796 0.721 0.000
9 I 0.721 0.204 0.000
10 I 0.296 0.779 0.500
11 I 0.279 0.796 0.000
12 I 0.704 0.221 0.500
13 I 0.779 0.704 0.500
14 I 0.221 0.296 0.500
15 I 0.000 0.000 0.233
16 I 0.000 0.000 0.767
17 I 0.500 0.500 0.267
18 I 0.500 0.500 0.733

E (MP2020) = -2.854 eV/atom
Energy of formation = -0.639 eV per atom
Mass density = 6.4 g/cm³

Density functional theory data (PBE) for a relaxed structure of LaP12Os4.

Cell lengths 7.051, 7.051, 7.051 Å; angles 109.47, 109.47, 109.47 degrees
Fractional coordinates of all 17 atoms:
1 La 0.000 0.000 0.000
2 P 0.856 0.642 0.499
3 P 0.144 0.358 0.501
4 P 0.144 0.642 0.786
5 P 0.856 0.358 0.214
6 P 0.642 0.499 0.856
7 P 0.358 0.501 0.144
8 P 0.642 0.786 0.144
9 P 0.358 0.214 0.856
10 P 0.499 0.856 0.642
11 P 0.501 0.144 0.358
12 P 0.786 0.144 0.642
13 P 0.214 0.856 0.358
14 Os 0.500 0.500 0.500
15 Os 0.500 0.000 0.000
16 Os 0.000 0.500 0.000
17 Os 0.000 0.000 0.500

Energy of formation = -0.621 eV per atom
Mass density = 7.8 g/cm³

Density functional theory data (PBE) for a relaxed structure of BaNaZrF7.

Cell lengths 5.621, 9.266, 11.412 Å; angles 90.00, 90.00, 90.00 degrees
Fractional coordinates of all 40 atoms:
1 Ba 0.250 0.031 0.828
2 Ba 0.750 0.969 0.172
3 Ba 0.250 0.531 0.672
4 Ba 0.750 0.469 0.328
5 Na 0.250 0.135 0.445
6 Na 0.750 0.865 0.555
7 Na 0.750 0.365 0.945
8 Na 0.250 0.635 0.055
9 Zr 0.250 0.751 0.360
10 Zr 0.250 0.251 0.140
11 Zr 0.750 0.249 0.640
12 Zr 0.750 0.749 0.860
13 F 0.504 0.778 0.725
14 F 0.981 0.075 0.613
15 F 0.981 0.575 0.887
16 F 0.510 0.828 0.985
17 F 0.496 0.722 0.225
18 F 0.004 0.722 0.225
19 F 0.481 0.925 0.387
20 F 0.490 0.672 0.485
21 F 0.996 0.778 0.725
22 F 0.996 0.278 0.775
23 F 0.990 0.828 0.985
24 F 0.750 0.977 0.832
25 F 0.990 0.328 0.515
26 F 0.490 0.172 0.015
27 F 0.004 0.222 0.275
28 F 0.510 0.328 0.515
29 F 0.519 0.575 0.887
30 F 0.750 0.477 0.668
31 F 0.019 0.925 0.387
32 F 0.250 0.523 0.332
33 F 0.019 0.425 0.113
34 F 0.481 0.425 0.113
35 F 0.504 0.278 0.775
36 F 0.010 0.172 0.015
37 F 0.010 0.672 0.485
38 F 0.519 0.075 0.613
39 F 0.250 0.023 0.168
40 F 0.496 0.222 0.275

E (MP2020) = -6.447 eV/atom
Energy of formation = -3.928 eV per atom
Mass density = 4.3 g/cm³
Magnetization = 0.00 μB/f.u.

Q: Which formula does entry 4 have?
A: Cs2RuO4

Q: Which formula does entry 3 have?
A: AsSeBr

Q: Number 7 is which compound?
A: KMgPO5